1.
12
Lattice="2.029 -7.708 0.000 2.029 7.708 0.000 0.000 0.000 6.614" Properties=species:S:1:pos:R:3 comment="DyAl4Ni (GGA-PBE, optimized geometry)" e_tot_ev_per_atom=-4.7810 pbc="T T T"
Dy 2.029 5.898 4.961
Dy 2.029 -5.898 1.654
Al 2.029 6.533 1.654
Al 2.029 2.906 3.656
Al 2.029 2.906 6.266
Al 2.029 0.000 0.000
Al 2.029 0.000 3.307
Al 2.029 -2.906 0.349
Al 2.029 -2.906 2.958
Al 2.029 -6.533 4.961
Ni 2.029 4.217 1.654
Ni 2.029 -4.217 4.961

2.
9
Lattice="6.931 0.000 0.000 -3.466 6.003 0.000 0.000 0.000 3.915" Properties=species:S:1:pos:R:3 comment="DyAlNi (GGA-PBE, optimized geometry)" e_tot_ev_per_atom=-5.3178 pbc="T T T"
Dy -2.020 3.499 0.000
Dy 1.446 2.504 0.000
Dy 4.040 0.000 0.000
Al -0.813 1.409 1.958
Al 1.626 0.000 1.958
Al 2.652 4.594 1.958
Ni 0.000 0.000 0.000
Ni 0.000 4.002 1.958
Ni 3.466 2.001 1.958

3.
22
Lattice="-4.452 4.452 4.452 4.452 -4.452 4.452 4.452 4.452 -4.452" Properties=species:S:1:pos:R:3 comment="Dy3Al2Ni6 (GGA-PBE, optimized geometry)" e_tot_ev_per_atom=-5.6563 pbc="T T T"
Dy 2.604 0.000 0.000
Dy 6.300 0.000 0.000
Dy 0.000 2.604 0.000
Dy 0.000 0.000 2.604
Dy 0.000 6.300 0.000
Dy 0.000 0.000 6.300
Al 2.226 2.226 -2.226
Al 2.226 -2.226 2.226
Al -2.226 2.226 2.226
Al 2.226 2.226 2.226
Ni 4.452 1.469 -1.469
Ni 4.452 -1.469 1.469
Ni 4.452 1.469 1.469
Ni 1.469 4.452 -1.469
Ni 2.982 2.982 0.000
Ni 1.469 -1.469 4.452
Ni 2.982 0.000 2.982
Ni -1.469 4.452 1.469
Ni 1.469 4.452 1.469
Ni -1.469 1.469 4.452
Ni 1.469 1.469 4.452
Ni 0.000 2.982 2.982